# 1
# Sr2CuTeO2 (PBE, relaxed)
# - Energy: -31.002 eV/cell
# - Calculated volume: 19.96 Å³ per atom
data_Sr2CuTeO2
_symmetry_space_group_name_H-M 'P 4/m m m'
_symmetry_Int_Tables_number 123
_symmetry_space_group_name_Hall '-P 4 2'
_cell_length_a 4.022
_cell_length_b 4.022
_cell_length_c 7.401
_cell_angle_alpha 90.00
_cell_angle_beta 90.00
_cell_angle_gamma 90.00
loop_
_atom_site_label
_atom_site_fract_x
_atom_site_fract_y
_atom_site_fract_z
_atom_site_occupancy
Sr1 0.000 0.000 0.220 1
Cu1 0.500 0.500 0.000 1
Te1 0.500 0.500 0.500 1
O1 0.000 0.500 0.000 1

=====

# 2
# Na6Ca4Al4SiS11O48 (PBE, relaxed)
# - Energy: -1399.087 eV/cell
# - Calculated volume: 13.76 Å³ per atom
data_Na6Ca4Al4SiS11O48
_symmetry_space_group_name_H-M 'P 1'
_symmetry_Int_Tables_number 1
_symmetry_space_group_name_Hall 'P 1'
_cell_length_a 8.864
_cell_length_b 15.297
_cell_length_c 22.524
_cell_angle_alpha 89.86
_cell_angle_beta 89.96
_cell_angle_gamma 89.92
loop_
_atom_site_label
_atom_site_fract_x
_atom_site_fract_y
_atom_site_fract_z
_atom_site_occupancy
Na1 0.000 0.000 0.000 1
Na2 0.000 0.667 0.331 1
Na3 0.001 0.334 0.660 1
Na4 0.172 0.186 0.244 1
Na5 0.302 0.309 0.747 1
Na6 0.327 0.687 0.743 1
Na7 0.362 0.002 0.750 1
Na8 0.480 0.168 0.838 1
Na9 0.491 0.827 0.159 1
Na10 0.496 0.502 0.999 1
Na11 0.501 0.500 0.495 1
Na12 0.525 0.176 0.330 1
Na13 0.526 0.823 0.660 1
Na14 0.632 0.007 0.254 1
Na15 0.825 0.191 0.742 1
Na16 0.960 0.666 0.829 1
Na17 0.983 0.337 0.165 1
Na18 0.998 0.002 0.495 1
Ca1 0.000 0.669 0.988 1
Ca2 0.004 0.330 0.516 1
Ca3 0.494 0.168 0.680 1
Ca4 0.495 0.171 0.480 1
Ca5 0.495 0.839 0.514 1
Ca6 0.497 0.507 0.351 1
Ca7 0.497 0.820 0.315 1
Ca8 0.500 0.170 0.986 1
Ca9 0.512 0.171 0.175 1
Ca10 0.513 0.829 0.808 1
Ca11 0.996 0.671 0.173 1
Ca12 0.997 0.339 0.811 1
Al1 0.002 0.336 0.010 1
Al2 0.004 0.003 0.852 1
Al3 0.004 0.005 0.647 1
Al4 0.499 0.510 0.644 1
Al5 0.499 0.835 0.011 1
Al6 0.500 0.498 0.148 1
Al7 0.524 0.515 0.850 1
Al8 0.980 0.334 0.308 1
Al9 0.980 0.667 0.682 1
Al10 0.991 0.004 0.346 1
Al11 0.995 0.013 0.150 1
Al12 0.996 0.668 0.483 1
Si1 0.141 0.140 0.750 1
Si2 0.654 0.641 0.742 1
Si3 0.857 0.149 0.250 1
S1 0.126 0.856 0.745 1
S2 0.131 0.489 0.414 1
S3 0.143 0.184 0.404 1
S4 0.164 0.504 0.079 1
S5 0.164 0.834 0.079 1
S6 0.172 0.170 0.080 1
S7 0.178 0.835 0.415 1
S8 0.221 0.508 0.744 1
S9 0.270 0.662 0.584 1
S10 0.276 0.998 0.247 1
S11 0.298 0.345 0.912 1
S12 0.329 0.012 0.587 1
S13 0.340 0.977 0.912 1
S14 0.341 0.359 0.246 1
S15 0.357 0.647 0.239 1
S16 0.359 0.337 0.587 1
S17 0.361 0.683 0.913 1
S18 0.632 0.369 0.748 1
S19 0.661 0.003 0.082 1
S20 0.665 0.987 0.408 1
S21 0.666 0.334 0.079 1
S22 0.670 0.669 0.080 1
S23 0.671 0.681 0.421 1
S24 0.710 0.333 0.410 1
S25 0.728 0.001 0.747 1
S26 0.793 0.497 0.246 1
S27 0.799 0.844 0.915 1
S28 0.814 0.158 0.587 1
S29 0.839 0.481 0.915 1
S30 0.847 0.531 0.582 1
S31 0.861 0.183 0.913 1
S32 0.866 0.864 0.247 1
S33 0.868 0.812 0.584 1
O1 0.058 0.578 0.421 1
O2 0.064 0.893 0.801 1
O3 0.066 0.238 0.746 1
O4 0.069 0.446 0.360 1
O5 0.071 0.764 0.739 1
O6 0.073 0.247 0.067 1
O7 0.074 0.091 0.088 1
O8 0.078 0.089 0.691 1
O9 0.079 0.912 0.403 1
O10 0.081 0.093 0.397 1
O11 0.083 0.216 0.460 1
O12 0.083 0.755 0.428 1
O13 0.085 0.540 0.131 1
O14 0.085 0.797 0.028 1
O15 0.086 0.909 0.692 1
O16 0.096 0.415 0.066 1
O17 0.098 0.079 0.808 1
O18 0.100 0.243 0.354 1
O19 0.101 0.923 0.091 1
O20 0.104 0.438 0.468 1
O21 0.123 0.430 0.747 1
O22 0.127 0.589 0.738 1
O23 0.150 0.561 0.027 1
O24 0.152 0.777 0.132 1
O25 0.161 0.004 0.590 1
O26 0.170 0.978 0.911 1
O27 0.171 0.358 0.250 1
O28 0.174 0.653 0.530 1
O29 0.174 0.670 0.639 1
O30 0.182 0.000 0.301 1
O31 0.183 0.992 0.192 1
O32 0.186 0.351 0.963 1
O33 0.193 0.657 0.235 1
O34 0.195 0.352 0.584 1
O35 0.201 0.667 0.923 1
O36 0.220 0.332 0.855 1
O37 0.257 0.188 0.135 1
O38 0.268 0.814 0.361 1
O39 0.272 0.855 0.466 1
O40 0.273 0.153 0.030 1
O41 0.295 0.504 0.409 1
O42 0.295 0.853 0.747 1
O43 0.309 0.178 0.405 1
O44 0.315 0.519 0.798 1
O45 0.316 0.494 0.690 1
O46 0.325 0.152 0.753 1
O47 0.329 0.491 0.091 1
O48 0.331 0.843 0.066 1
O49 0.363 0.067 0.535 1
O50 0.364 0.581 0.588 1
O51 0.366 0.080 0.245 1
O52 0.367 0.740 0.581 1
O53 0.379 0.729 0.856 1
O54 0.382 0.923 0.247 1
O55 0.386 0.052 0.642 1
O56 0.386 0.411 0.192 1
O57 0.386 0.428 0.910 1
O58 0.387 0.286 0.642 1
O59 0.387 0.920 0.962 1
O60 0.391 0.267 0.238 1
O61 0.391 0.609 0.297 1
O62 0.396 0.925 0.584 1
O63 0.397 0.944 0.855 1
O64 0.398 0.067 0.921 1
O65 0.399 0.269 0.921 1
O66 0.407 0.394 0.300 1
O67 0.414 0.590 0.190 1
O68 0.418 0.292 0.535 1
O69 0.431 0.734 0.963 1
O70 0.434 0.733 0.233 1
O71 0.441 0.423 0.590 1
O72 0.444 0.596 0.910 1
O73 0.568 0.278 0.750 1
O74 0.569 0.736 0.741 1
O75 0.569 0.746 0.066 1
O76 0.571 0.412 0.802 1
O77 0.571 0.591 0.092 1
O78 0.572 0.592 0.687 1
O79 0.585 0.298 0.028 1
O80 0.586 0.035 0.136 1
O81 0.586 0.413 0.693 1
O82 0.594 0.916 0.067 1
O83 0.599 0.423 0.092 1
O84 0.600 0.076 0.413 1
O85 0.601 0.727 0.471 1
O86 0.605 0.946 0.354 1
O87 0.610 0.410 0.410 1
O88 0.611 0.592 0.420 1
O89 0.615 0.930 0.746 1
O90 0.619 0.253 0.407 1
O91 0.620 0.590 0.805 1
O92 0.631 0.936 0.462 1
O93 0.641 0.064 0.032 1
O94 0.643 0.085 0.749 1
O95 0.650 0.728 0.364 1
O96 0.653 0.278 0.132 1
O97 0.668 0.482 0.912 1
O98 0.674 0.154 0.247 1
O99 0.678 0.525 0.585 1
O100 0.690 0.486 0.193 1
O101 0.693 0.853 0.967 1
O102 0.697 0.859 0.247 1
O103 0.698 0.170 0.922 1
O104 0.702 0.821 0.581 1
O105 0.709 0.509 0.300 1
O106 0.715 0.153 0.535 1
O107 0.717 0.832 0.860 1
O108 0.728 0.168 0.643 1
O109 0.760 0.692 0.132 1
O110 0.764 0.648 0.028 1
O111 0.795 0.335 0.466 1
O112 0.798 0.361 0.747 1
O113 0.814 0.334 0.358 1
O114 0.819 0.992 0.693 1
O115 0.820 0.999 0.802 1
O116 0.827 0.992 0.092 1
O117 0.831 0.345 0.066 1
O118 0.834 0.993 0.405 1
O119 0.838 0.677 0.430 1
O120 0.839 0.652 0.737 1
O121 0.882 0.227 0.856 1
O122 0.882 0.423 0.967 1
O123 0.884 0.584 0.528 1
O124 0.887 0.414 0.250 1
O125 0.889 0.928 0.911 1
O126 0.895 0.572 0.237 1
O127 0.896 0.570 0.923 1
O128 0.897 0.083 0.304 1
O129 0.898 0.447 0.860 1
O130 0.899 0.072 0.589 1
O131 0.903 0.770 0.923 1
O132 0.904 0.759 0.638 1
O133 0.908 0.917 0.194 1
O134 0.910 0.575 0.635 1
O135 0.912 0.443 0.580 1
O136 0.919 0.905 0.302 1
O137 0.922 0.231 0.584 1
O138 0.928 0.235 0.963 1
O139 0.930 0.769 0.530 1
O140 0.930 0.776 0.244 1
O141 0.933 0.105 0.190 1
O142 0.937 0.900 0.589 1
O143 0.938 0.247 0.257 1
O144 0.939 0.095 0.913 1

=====

# 3
# CsNp3 (PBE, relaxed)
# - Energy: -128.279 eV/cell
# - ΔE to the lowest computed polymorph: 313 meV per atom
# - Calculated volume: 21.33 Å³ per atom
data_CsNp3
_symmetry_space_group_name_H-M 'F m -3 m'
_symmetry_Int_Tables_number 225
_symmetry_space_group_name_Hall '-F 4 2 3'
_cell_length_a 6.989
_cell_length_b 6.989
_cell_length_c 6.989
_cell_angle_alpha 90.00
_cell_angle_beta 90.00
_cell_angle_gamma 90.00
loop_
_atom_site_label
_atom_site_fract_x
_atom_site_fract_y
_atom_site_fract_z
_atom_site_occupancy
Cs1 0.000 0.000 0.000 1
Np1 0.000 0.000 0.500 1
Np2 0.250 0.250 0.250 1

=====

# 4
# Nb3S4 (PBE, relaxed)
# - Energy: -109.099 eV/cell
# - ΔE to the lowest computed polymorph: 0 meV per atom
# - Calculated volume: 19.71 Å³ per atom
data_Nb3S4
_symmetry_space_group_name_H-M 'P 63/m'
_symmetry_Int_Tables_number 176
_symmetry_space_group_name_Hall '-P 6c'
_cell_length_a 9.6678
_cell_length_b 9.6678
_cell_length_c 3.4085
_cell_angle_alpha 90.00
_cell_angle_beta 90.00
_cell_angle_gamma 120.00
loop_
_atom_site_label
_atom_site_fract_x
_atom_site_fract_y
_atom_site_fract_z
_atom_site_occupancy
Nb1 0.1149 0.6288 0.2500 1
S1 0.0570 0.3463 0.2500 1
S2 0.3333 0.6667 0.7500 1

=====

# 5
# BaFe2S4 (PBE, relaxed)
# - Energy: -82.897 eV/cell
# - ΔE to the lowest computed polymorph: 0 meV per atom
# - Calculated volume: 21.27 Å³ per atom
data_BaFe2S4
_symmetry_space_group_name_H-M 'I 4/m'
_symmetry_Int_Tables_number 87
_symmetry_space_group_name_Hall '-I 4'
_cell_length_a 7.651
_cell_length_b 7.651
_cell_length_c 5.086
_cell_angle_alpha 90.00
_cell_angle_beta 90.00
_cell_angle_gamma 90.00
loop_
_atom_site_label
_atom_site_fract_x
_atom_site_fract_y
_atom_site_fract_z
_atom_site_occupancy
Ba1 0.000 0.000 0.000 1
Fe1 0.000 0.500 0.250 1
S1 0.114 0.693 0.500 1

=====

# 6
# Ta9As2O25 (PBE, relaxed)
# - Energy: -649.880 eV/cell
# - Calculated volume: 14.27 Å³ per atom
data_Ta9As2O25
_symmetry_space_group_name_H-M 'I 4/m'
_symmetry_Int_Tables_number 87
_symmetry_space_group_name_Hall '-I 4'
_cell_length_a 15.971
_cell_length_b 15.971
_cell_length_c 4.029
_cell_angle_alpha 90.00
_cell_angle_beta 90.00
_cell_angle_gamma 90.00
loop_
_atom_site_label
_atom_site_fract_x
_atom_site_fract_y
_atom_site_fract_z
_atom_site_occupancy
Ta1 0.000 0.000 0.000 1
Ta2 0.097 0.777 0.000 1
Ta3 0.128 0.318 0.000 1
As1 0.000 0.500 0.250 1
O1 0.000 0.000 0.500 1
O2 0.017 0.281 0.000 1
O3 0.049 0.883 0.000 1
O4 0.060 0.596 0.500 1
O5 0.111 0.753 0.500 1
O6 0.152 0.337 0.500 1
O7 0.181 0.211 0.000 1

=====

# 7
# TaP4S6Cl5 (PBE, relaxed)
# - Energy: -154.703 eV/cell
# - Calculated volume: 29.97 Å³ per atom
data_TaP4S6Cl5
_symmetry_space_group_name_H-M 'P -1'
_symmetry_Int_Tables_number 2
_symmetry_space_group_name_Hall '-P 1'
_cell_length_a 7.253
_cell_length_b 11.557
_cell_length_c 12.224
_cell_angle_alpha 102.17
_cell_angle_beta 95.85
_cell_angle_gamma 104.02
loop_
_atom_site_label
_atom_site_fract_x
_atom_site_fract_y
_atom_site_fract_z
_atom_site_occupancy
Ta1 0.017 0.264 0.148 1
P1 0.248 0.174 0.553 1
P2 0.444 0.801 0.496 1
P3 0.447 0.864 0.236 1
P4 0.456 0.575 0.287 1
S1 0.253 0.356 0.639 1
S2 0.264 0.076 0.680 1
S3 0.309 0.883 0.381 1
S4 0.317 0.609 0.429 1
S5 0.389 0.668 0.165 1
S6 0.405 0.398 0.214 1
Cl1 0.009 0.692 0.657 1
Cl2 0.055 0.553 0.863 1
Cl3 0.094 0.241 0.965 1
Cl4 0.172 0.115 0.178 1
Cl5 0.289 0.862 0.907 1

=====

# 8
# Cu3B7IO13 (PBE, relaxed)
# - Energy: -1356.420 eV/cell
# - Calculated volume: 9.32 Å³ per atom
data_Cu3B7IO13
_symmetry_space_group_name_H-M 'F -4 3 c'
_symmetry_Int_Tables_number 219
_symmetry_space_group_name_Hall 'F -4a 2 3'
_cell_length_a 12.140
_cell_length_b 12.140
_cell_length_c 12.140
_cell_angle_alpha 90.00
_cell_angle_beta 90.00
_cell_angle_gamma 90.00
loop_
_atom_site_label
_atom_site_fract_x
_atom_site_fract_y
_atom_site_fract_z
_atom_site_occupancy
Cu1 0.000 0.000 0.250 1
B1 0.000 0.250 0.250 1
B2 0.170 0.170 0.330 1
I1 0.000 0.000 0.000 1
O1 0.070 0.153 0.268 1
O2 0.250 0.250 0.250 1

=====

# 9
# K3Cr (PBE, relaxed)
# - Energy: -41.342 eV/cell
# - ΔE to the lowest computed polymorph: 0 meV per atom
# - Calculated volume: 50.00 Å³ per atom
data_K3Cr
_symmetry_space_group_name_H-M 'F m -3 m'
_symmetry_Int_Tables_number 225
_symmetry_space_group_name_Hall '-F 4 2 3'
_cell_length_a 9.283
_cell_length_b 9.283
_cell_length_c 9.283
_cell_angle_alpha 90.00
_cell_angle_beta 90.00
_cell_angle_gamma 90.00
loop_
_atom_site_label
_atom_site_fract_x
_atom_site_fract_y
_atom_site_fract_z
_atom_site_occupancy
K1 0.000 0.000 0.000 1
K2 0.250 0.250 0.250 1
Cr1 0.000 0.000 0.500 1